1.
First-principles (GGA-PBE) data for a relaxed structure of V3AsN, as listed in the Materials Project database.

Space-group type: Cmcm, No. 63
E (MP2020): -8.87 eV/atom
Total magnetic moment: 0.001 μB per cell
Energy of formation: -4.1 eV/f.u.

Lattice parameters (Å, degrees): 5.346 5.346 7.551 90.00 90.00 146.11
Sites, in units of the cell vectors:
V (0.957, 0.043, 0.250)
V (0.043, 0.957, 0.750)
V (0.624, 0.376, 0.452)
V (0.376, 0.624, 0.548)
V (0.624, 0.376, 0.048)
V (0.376, 0.624, 0.952)
As (0.258, 0.742, 0.250)
As (0.742, 0.258, 0.750)
N (0.000, 0.000, 0.500)
N (0.000, 0.000, 0.000)

***

2.
First-principles (GGA-PBE) data for a relaxed structure of Ta4Ni2C, as listed in the Materials Project database.

Space-group type: Fd-3m, No. 227
Energy of formation: -3.0 eV/f.u.

Lattice parameters (Å, degrees): 8.263 8.263 8.263 60.00 60.00 60.00
Sites, in units of the cell vectors:
Ta (0.625, 0.625, 0.625)
Ta (0.625, 0.625, 0.125)
Ta (0.125, 0.625, 0.625)
Ta (0.625, 0.125, 0.625)
Ta (0.434, 0.066, 0.066)
Ta (0.066, 0.434, 0.434)
Ta (0.066, 0.434, 0.066)
Ta (0.066, 0.066, 0.434)
Ta (0.434, 0.066, 0.434)
Ta (0.434, 0.434, 0.066)
Ta (0.184, 0.816, 0.184)
Ta (0.816, 0.184, 0.816)
Ta (0.816, 0.184, 0.184)
Ta (0.184, 0.184, 0.816)
Ta (0.184, 0.816, 0.816)
Ta (0.816, 0.816, 0.184)
Ni (0.831, 0.831, 0.831)
Ni (0.831, 0.831, 0.507)
Ni (0.507, 0.831, 0.831)
Ni (0.831, 0.507, 0.831)
Ni (0.419, 0.419, 0.419)
Ni (0.419, 0.419, 0.743)
Ni (0.419, 0.743, 0.419)
Ni (0.743, 0.419, 0.419)
C (0.125, 0.125, 0.125)
C (0.125, 0.125, 0.625)
C (0.625, 0.125, 0.125)
C (0.125, 0.625, 0.125)

***

3.
First-principles (GGA-PBE) data for a relaxed structure of Li5B7S13, as listed in the Materials Project database.

Space-group type: P1, No. 1
E (MP2020): -5.41 eV/atom
Energy of formation: -25.1 eV/f.u.

Lattice parameters (Å, degrees): 12.441 12.451 14.045 116.24 116.23 90.07
Sites, in units of the cell vectors:
Li (0.056, 0.316, 0.283)
Li (0.273, 0.033, 0.717)
Li (0.446, 0.978, 0.987)
Li (0.222, 0.114, 0.435)
Li (0.287, 0.680, 0.565)
Li (0.186, 0.777, 0.219)
Li (0.466, 0.558, 0.781)
Li (0.178, 0.281, 0.064)
Li (0.614, 0.217, 0.937)
Li (0.515, 0.948, 0.494)
Li (0.521, 0.453, 0.504)
Li (0.387, 0.774, 0.072)
Li (0.814, 0.700, 0.927)
Li (0.528, 0.446, 0.224)
Li (0.803, 0.221, 0.775)
Li (0.730, 0.315, 0.428)
Li (0.802, 0.888, 0.572)
Li (0.718, 0.971, 0.273)
Li (0.944, 0.698, 0.727)
Li (0.957, 0.989, 0.012)
B (0.119, 0.694, 0.946)
B (0.068, 0.207, 0.752)
B (0.025, 0.273, 0.549)
B (0.225, 0.475, 0.951)
B (0.184, 0.544, 0.751)
B (0.327, 0.253, 0.947)
B (0.044, 0.567, 0.251)
B (0.294, 0.316, 0.749)
B (0.194, 0.827, 0.447)
B (0.248, 0.380, 0.553)
B (0.245, 0.985, 0.151)
B (0.330, 0.254, 0.346)
B (0.484, 0.909, 0.654)
B (0.594, 0.835, 0.850)
B (0.409, 0.168, 0.154)
B (0.514, 0.094, 0.349)
B (0.664, 0.746, 0.651)
B (0.754, 0.015, 0.847)
B (0.753, 0.619, 0.448)
B (0.806, 0.171, 0.553)
B (0.708, 0.685, 0.253)
B (0.955, 0.432, 0.747)
B (0.672, 0.747, 0.054)
B (0.815, 0.456, 0.249)
B (0.773, 0.524, 0.049)
B (0.976, 0.724, 0.451)
B (0.932, 0.793, 0.249)
B (0.880, 0.306, 0.053)
S (0.058, 0.371, 0.854)
S (0.017, 0.440, 0.644)
S (0.166, 0.139, 0.849)
S (0.183, 0.709, 0.849)
S (0.130, 0.205, 0.646)
S (0.086, 0.269, 0.446)
S (0.140, 0.823, 0.554)
S (0.295, 0.483, 0.855)
S (0.096, 0.896, 0.348)
S (0.248, 0.549, 0.652)
S (0.048, 0.403, 0.152)
S (0.397, 0.251, 0.848)
S (0.209, 0.666, 0.348)
S (0.100, 0.848, 0.053)
S (0.361, 0.318, 0.652)
S (0.189, 0.115, 0.245)
S (0.295, 0.401, 0.447)
S (0.347, 0.954, 0.553)
S (0.443, 0.870, 0.755)
S (0.546, 0.795, 0.947)
S (0.227, 0.638, 0.054)
S (0.275, 0.024, 0.045)
S (0.673, 0.584, 0.947)
S (0.368, 0.309, 0.251)
S (0.383, 0.943, 0.252)
S (0.474, 0.227, 0.454)
S (0.519, 0.774, 0.546)
S (0.616, 0.059, 0.749)
S (0.631, 0.692, 0.749)
S (0.323, 0.414, 0.053)
S (0.728, 0.979, 0.955)
S (0.769, 0.361, 0.947)
S (0.455, 0.205, 0.053)
S (0.558, 0.133, 0.250)
S (0.651, 0.046, 0.446)
S (0.704, 0.600, 0.554)
S (0.807, 0.883, 0.750)
S (0.641, 0.684, 0.352)
S (0.901, 0.152, 0.947)
S (0.790, 0.333, 0.649)
S (0.605, 0.750, 0.155)
S (0.951, 0.595, 0.846)
S (0.749, 0.451, 0.347)
S (0.903, 0.105, 0.654)
S (0.704, 0.517, 0.146)
S (0.863, 0.172, 0.446)
S (0.916, 0.726, 0.554)
S (0.872, 0.795, 0.356)
S (0.817, 0.290, 0.151)
S (0.833, 0.859, 0.150)
S (0.983, 0.558, 0.354)
S (0.940, 0.628, 0.145)

***

4.
First-principles (GGA-PBE) data for a relaxed structure of Ce5Mg, as listed in the Materials Project database.

Space-group type: Cm, No. 8
Total magnetic moment: 1.477 μB per cell
Energy of formation: 0.5 eV/f.u.
ΔE to the lowest computed polymorph: 10 meV per atom

Lattice parameters (Å, degrees): 6.574 6.574 8.017 71.16 71.16 28.54
Sites, in units of the cell vectors:
Ce (0.001, 0.001, 0.017)
Ce (0.333, 0.333, 0.330)
Ce (0.938, 0.938, 0.625)
Ce (0.651, 0.651, 0.676)
Ce (0.295, 0.295, 0.908)
Mg (0.614, 0.614, 0.277)

***

5.
First-principles (GGA-PBE) data for a relaxed structure of ScH6N2Cl3, as listed in the Materials Project database.

Space-group type: P-1, No. 2
E (MP2020): -5.24 eV/atom
Total magnetic moment: 0.000 μB per cell
Energy of formation: -14.0 eV/f.u.

Lattice parameters (Å, degrees): 6.986 9.969 11.280 105.48 90.65 109.76
Sites, in units of the cell vectors:
Sc (0.317, 0.223, 0.304)
Sc (0.683, 0.777, 0.696)
Sc (0.162, 0.803, 0.197)
Sc (0.838, 0.197, 0.803)
H (0.295, 0.793, 0.955)
H (0.705, 0.207, 0.045)
H (0.297, 0.556, 0.133)
H (0.703, 0.444, 0.867)
H (0.226, 0.728, 0.419)
H (0.774, 0.272, 0.581)
H (0.659, 0.473, 0.297)
H (0.341, 0.527, 0.703)
H (0.250, 0.905, 0.460)
H (0.750, 0.095, 0.540)
H (0.217, 0.935, 0.001)
H (0.783, 0.065, 0.999)
H (0.662, 0.466, 0.441)
H (0.338, 0.534, 0.559)
H (0.464, 0.686, 0.246)
H (0.536, 0.314, 0.754)
H (0.047, 0.766, 0.945)
H (0.953, 0.234, 0.055)
H (0.478, 0.695, 0.103)
H (0.522, 0.305, 0.897)
H (0.751, 0.360, 0.337)
H (0.249, 0.640, 0.663)
H (0.020, 0.776, 0.426)
H (0.980, 0.224, 0.574)
N (0.635, 0.401, 0.350)
N (0.365, 0.599, 0.650)
N (0.184, 0.826, 0.000)
N (0.816, 0.174, 0.000)
N (0.166, 0.803, 0.401)
N (0.834, 0.197, 0.599)
N (0.377, 0.669, 0.165)
N (0.623, 0.331, 0.835)
Cl (0.990, 0.991, 0.244)
Cl (0.010, 0.009, 0.756)
Cl (0.141, 0.400, 0.343)
Cl (0.859, 0.600, 0.657)
Cl (0.494, 0.027, 0.259)
Cl (0.506, 0.973, 0.741)
Cl (0.862, 0.585, 0.137)
Cl (0.138, 0.415, 0.863)
Cl (0.337, 0.222, 0.522)
Cl (0.663, 0.778, 0.478)
Cl (0.344, 0.225, 0.086)
Cl (0.656, 0.775, 0.914)

***

6.
First-principles (GGA-PBE) data for a relaxed structure of Al2Si2PbO8, as listed in the Materials Project database.

Space-group type: P-1, No. 2
E (MP2020): -7.84 eV/atom
Total magnetic moment: 0.003 μB per cell
Energy of formation: -40.3 eV/f.u.
ΔE to the lowest computed polymorph: 7 meV per atom

Lattice parameters (Å, degrees): 7.279 7.808 7.869 113.83 103.52 103.38
Sites, in units of the cell vectors:
Al (0.773, 0.818, 0.176)
Al (0.771, 0.173, 0.814)
Al (0.227, 0.182, 0.824)
Al (0.229, 0.827, 0.186)
Si (0.655, 0.192, 0.424)
Si (0.655, 0.424, 0.193)
Si (0.345, 0.808, 0.576)
Si (0.345, 0.576, 0.807)
Pb (0.863, 0.719, 0.759)
Pb (0.137, 0.281, 0.241)
O (0.775, 0.057, 0.318)
O (0.775, 0.316, 0.056)
O (0.225, 0.943, 0.682)
O (0.225, 0.684, 0.944)
O (0.705, 0.395, 0.394)
O (0.295, 0.605, 0.606)
O (0.997, 0.865, 0.122)
O (0.003, 0.135, 0.878)
O (0.741, 0.666, 0.287)
O (0.744, 0.294, 0.668)
O (0.259, 0.334, 0.713)
O (0.256, 0.706, 0.332)
O (0.592, 0.683, 0.926)
O (0.591, 0.927, 0.680)
O (0.408, 0.317, 0.074)
O (0.409, 0.073, 0.320)

***

7.
First-principles (GGA-PBE) data for a relaxed structure of Ca4Bi2O, as listed in the Materials Project database.

Space-group type: I4/mmm, No. 139
E (MP2020): -4.57 eV/atom
Energy of formation: -11.2 eV/f.u.

Lattice parameters (Å, degrees): 4.764 4.764 9.001 105.35 105.35 90.00
Sites, in units of the cell vectors:
Ca (0.336, 0.336, 0.671)
Ca (0.000, 0.500, 0.000)
Ca (0.664, 0.664, 0.329)
Ca (0.500, 0.000, 0.000)
Bi (0.140, 0.140, 0.281)
Bi (0.860, 0.860, 0.719)
O (0.500, 0.500, 0.000)

***

8.
First-principles (GGA-PBE) data for a relaxed structure of BaGdAuSe3, as listed in the Materials Project database.

Space-group type: Cmcm, No. 63
E (MP2020): -6.71 eV/atom
Total magnetic moment: 14.000 μB per cell
Energy of formation: -10.5 eV/f.u.

Lattice parameters (Å, degrees): 7.494 7.494 10.845 90.00 90.00 146.81
Sites, in units of the cell vectors:
Ba (0.752, 0.248, 0.250)
Ba (0.248, 0.752, 0.750)
Gd (0.000, 0.000, 0.500)
Gd (0.000, 0.000, 0.000)
Au (0.535, 0.465, 0.750)
Au (0.465, 0.535, 0.250)
Se (0.079, 0.921, 0.250)
Se (0.921, 0.079, 0.750)
Se (0.638, 0.362, 0.551)
Se (0.638, 0.362, 0.949)
Se (0.362, 0.638, 0.051)
Se (0.362, 0.638, 0.449)

***

9.
First-principles (GGA-PBE) data for a relaxed structure of LaNi, as listed in the Materials Project database.

Space-group type: Cmcm, No. 63
Energy of formation: -0.7 eV/f.u.

Lattice parameters (Å, degrees): 3.844 4.414 5.731 90.00 109.59 90.00
Sites, in units of the cell vectors:
La (0.864, 0.250, 0.729)
La (0.136, 0.750, 0.271)
Ni (0.573, 0.250, 0.146)
Ni (0.427, 0.750, 0.854)

***

10.
First-principles (GGA-PBE) data for a relaxed structure of HoErO3, as listed in the Materials Project database.

Space-group type: P6_3cm, No. 185
E (MP2020): -8.75 eV/atom
Total magnetic moment: 0.000 μB per cell
Energy of formation: -19.8 eV/f.u.

Lattice parameters (Å, degrees): 6.379 6.379 12.675 90.00 90.00 120.00
Sites, in units of the cell vectors:
Ho (0.333, 0.667, 0.233)
Ho (0.000, 0.000, 0.265)
Ho (0.000, 0.000, 0.765)
Ho (0.333, 0.667, 0.733)
Ho (0.667, 0.333, 0.733)
Ho (0.667, 0.333, 0.233)
Er (0.000, 0.667, 0.497)
Er (0.000, 0.333, 0.997)
Er (0.333, 0.333, 0.497)
Er (0.667, 0.667, 0.997)
Er (0.333, 0.000, 0.997)
Er (0.667, 0.000, 0.497)
O (0.000, 0.695, 0.670)
O (0.000, 0.635, 0.324)
O (0.000, 0.365, 0.824)
O (0.000, 0.305, 0.170)
O (0.333, 0.667, 0.022)
O (0.000, 0.000, 0.461)
O (0.000, 0.000, 0.961)
O (0.333, 0.667, 0.522)
O (0.305, 0.305, 0.670)
O (0.365, 0.365, 0.324)
O (0.305, 0.000, 0.170)
O (0.635, 0.635, 0.824)
O (0.695, 0.695, 0.170)
O (0.365, 0.000, 0.824)
O (0.667, 0.333, 0.522)
O (0.667, 0.333, 0.022)
O (0.635, 0.000, 0.324)
O (0.695, 0.000, 0.670)

***

11.
First-principles (GGA-PBE) data for a relaxed structure of Li2TiPCO7, as listed in the Materials Project database.

Space-group type: P2_1/m, No. 11
E (MP2020): -7.66 eV/atom
Total magnetic moment: 2.000 μB per cell
Energy of formation: -30.9 eV/f.u.

Lattice parameters (Å, degrees): 6.399 5.115 8.598 86.52 90.00 90.00
Sites, in units of the cell vectors:
Li (0.009, 0.751, 0.779)
Li (0.991, 0.249, 0.221)
Li (0.509, 0.249, 0.221)
Li (0.491, 0.751, 0.779)
Ti (0.750, 0.795, 0.342)
Ti (0.250, 0.205, 0.658)
P (0.250, 0.713, 0.423)
P (0.750, 0.287, 0.577)
C (0.750, 0.731, 0.054)
C (0.250, 0.269, 0.946)
O (0.750, 0.531, 0.160)
O (0.750, 0.961, 0.114)
O (0.250, 0.469, 0.840)
O (0.944, 0.183, 0.668)
O (0.556, 0.183, 0.668)
O (0.750, 0.181, 0.411)
O (0.250, 0.819, 0.589)
O (0.444, 0.817, 0.332)
O (0.056, 0.817, 0.332)
O (0.250, 0.409, 0.437)
O (0.750, 0.701, 0.909)
O (0.250, 0.299, 0.091)
O (0.750, 0.591, 0.563)
O (0.250, 0.039, 0.886)

***

12.
First-principles (GGA-PBE) data for a relaxed structure of Eu5Si3O12F, as listed in the Materials Project database.

Space-group type: P6_3/m, No. 176
E (MP2020): -9.64 eV/atom
Total magnetic moment: 64.000 μB per cell
Energy of formation: -73.5 eV/f.u.

Lattice parameters (Å, degrees): 9.704 9.704 7.106 90.00 90.00 120.00
Sites, in units of the cell vectors:
Eu (0.254, 0.249, 0.750)
Eu (0.751, 0.004, 0.750)
Eu (0.667, 0.333, 0.500)
Eu (0.333, 0.667, 0.000)
Eu (0.996, 0.746, 0.750)
Eu (0.667, 0.333, 0.000)
Eu (0.746, 0.751, 0.250)
Eu (0.004, 0.254, 0.250)
Eu (0.333, 0.667, 0.500)
Eu (0.249, 0.996, 0.250)
Si (0.632, 0.028, 0.250)
Si (0.604, 0.632, 0.750)
Si (0.972, 0.604, 0.250)
Si (0.028, 0.396, 0.750)
Si (0.396, 0.368, 0.250)
Si (0.368, 0.972, 0.750)
O (0.126, 0.593, 0.750)
O (0.250, 0.910, 0.565)
O (0.322, 0.487, 0.250)
O (0.750, 0.090, 0.065)
O (0.660, 0.750, 0.935)
O (0.407, 0.532, 0.750)
O (0.090, 0.340, 0.565)
O (0.532, 0.126, 0.250)
O (0.910, 0.660, 0.435)
O (0.593, 0.468, 0.250)
O (0.487, 0.165, 0.750)
O (0.340, 0.250, 0.435)
O (0.468, 0.874, 0.750)
O (0.165, 0.678, 0.250)
O (0.835, 0.322, 0.750)
O (0.250, 0.910, 0.935)
O (0.090, 0.340, 0.935)
O (0.750, 0.090, 0.435)
O (0.678, 0.513, 0.750)
O (0.660, 0.750, 0.565)
O (0.874, 0.407, 0.250)
O (0.340, 0.250, 0.065)
O (0.513, 0.835, 0.250)
O (0.910, 0.660, 0.065)
F (0.000, 0.000, 0.250)
F (0.000, 0.000, 0.750)

***

13.
First-principles (GGA-PBE) data for a relaxed structure of AgAu3, as listed in the Materials Project database.

Space-group type: I4/mmm, No. 139
Energy of formation: -0.2 eV/f.u.
ΔE to the lowest computed polymorph: 0 meV per atom

Lattice parameters (Å, degrees): 5.139 5.139 5.139 132.34 132.34 69.70
Sites, in units of the cell vectors:
Ag (0.000, 0.000, 0.000)
Au (0.750, 0.250, 0.500)
Au (0.250, 0.750, 0.500)
Au (0.500, 0.500, 0.000)

***

no.,calculated total energy (eV/atom)
1,-8.802
2,-10.174
3,-5.144
4,-5.124
5,-5.087
6,-7.417
7,-4.468
8,-6.475
9,-5.686
10,-8.339
11,-7.255
12,-9.221
13,-3.202